Entry 1:
Computed, not measured: Cs2LiI3 after structural relaxation at the r2SCAN level of DFT.

Cell: 4.7625 8.7760 13.2685 Å, 90.00 100.30 90.00°
Space group P2_1 (No. 4)
Symmetry-distinct sites (fractional):
1 Cs 0.0055 0.0000 0.0100 (multiplicity 2)
2 Cs 0.1765 0.5045 0.3515 (multiplicity 2)
3 Li 0.3491 0.4975 0.7004 (multiplicity 2)
4 I 0.2085 0.9884 0.4152 (multiplicity 2)
5 I 0.4101 0.2431 0.8274 (multiplicity 2)
6 I 0.4144 0.7540 0.8239 (multiplicity 2)

magnetic moment: 0.00 μB/f.u.
raw total energy: -22.696 eV per atom


Entry 2:
Computed, not measured: Na2TiZn2SiO7 after structural relaxation at the r2SCAN level of DFT.

Cell: 5.1791 20.0376 11.6917 Å, 90.00 90.00 90.00°
Space group Pbca (No. 61)
Symmetry-distinct sites (fractional):
1 Na 0.2323 0.0038 0.1775 (multiplicity 8)
2 Na 0.2475 0.1732 0.6639 (multiplicity 8)
3 Ti 0.2142 0.1640 0.1830 (multiplicity 8)
4 Zn 0.2141 0.0701 0.4244 (multiplicity 8)
5 Zn 0.2472 0.7399 0.9185 (multiplicity 8)
6 Si 0.2220 0.0882 0.9272 (multiplicity 8)
7 O 0.0461 0.2137 0.3041 (multiplicity 8)
8 O 0.0851 0.6075 0.2963 (multiplicity 8)
9 O 0.0915 0.5829 0.5623 (multiplicity 8)
10 O 0.1013 0.2244 0.0681 (multiplicity 8)
11 O 0.1535 0.5982 0.0580 (multiplicity 8)
12 O 0.1630 0.5209 0.8686 (multiplicity 8)
13 O 0.1984 0.6522 0.8499 (multiplicity 8)

magnetic moment: 0.00 μB/f.u.
raw total energy: -9.300 eV per atom


Entry 3:
Computed, not measured: SrYbO3 after structural relaxation at the r2SCAN level of DFT.

Cell: 4.2594 4.2594 4.2594 Å, 90.00 90.00 90.00°
Space group Pm-3m (No. 221)
Symmetry-distinct sites (fractional):
1 Sr 0.0000 0.0000 0.0000 (multiplicity 1)
2 Yb 0.5000 0.5000 0.5000 (multiplicity 1)
3 O 0.0000 0.5000 0.5000 (multiplicity 3)

magnetic moment: 1.00 μB/f.u.
raw total energy: -16.895 eV per atom


What did the third record say?
Computed, not measured: SrYbO3 after structural relaxation at the r2SCAN level of DFT.

Cell: 4.2594 4.2594 4.2594 Å, 90.00 90.00 90.00°
Space group Pm-3m (No. 221)
Symmetry-distinct sites (fractional):
1 Sr 0.0000 0.0000 0.0000 (multiplicity 1)
2 Yb 0.5000 0.5000 0.5000 (multiplicity 1)
3 O 0.0000 0.5000 0.5000 (multiplicity 3)

magnetic moment: 1.00 μB/f.u.
raw total energy: -16.895 eV per atom


What is the formula in the third record? SrYbO3


What did the first record say?
Computed, not measured: Cs2LiI3 after structural relaxation at the r2SCAN level of DFT.

Cell: 4.7625 8.7760 13.2685 Å, 90.00 100.30 90.00°
Space group P2_1 (No. 4)
Symmetry-distinct sites (fractional):
1 Cs 0.0055 0.0000 0.0100 (multiplicity 2)
2 Cs 0.1765 0.5045 0.3515 (multiplicity 2)
3 Li 0.3491 0.4975 0.7004 (multiplicity 2)
4 I 0.2085 0.9884 0.4152 (multiplicity 2)
5 I 0.4101 0.2431 0.8274 (multiplicity 2)
6 I 0.4144 0.7540 0.8239 (multiplicity 2)

magnetic moment: 0.00 μB/f.u.
raw total energy: -22.696 eV per atom